1.
Material: Dy2TeS2
Method: DFT, PBE
State: relaxed

Results
Calculated volume (Å³/cell): 152.7
Energy of formation (eV/atom): -2.06
Final energy (eV/atom): -5.984

Unit cell a=7.5969 b=7.5969 c=7.5969 alpha=147.85 beta=138.83 gamma=53.17
With the nearest neighbours (Å) after each atom.
Sites, in units of the cell vectors:
Dy1 0.1660 0.6660 0.5000  4 S 2.73
Dy2 0.8340 0.3340 0.5000  4 S 2.73
Te1 0.0000 0.0000 0.0000  4 Dy 3.08
S1 0.2935 0.2935 0.0000  4 Dy 2.73
S2 0.7065 0.7065 0.0000  4 Dy 2.73

***

2.
Material: Dy4Te3S4
Method: DFT, PBE
State: relaxed

Results
Calculated volume (Å³/cell): 307.1
Energy of formation (eV/atom): -1.88
Final energy (eV/atom): -5.737

Unit cell a=7.7124 b=7.7124 c=6.7416 alpha=84.21 beta=84.21 gamma=128.09
With the nearest neighbours (Å) after each atom.
Sites, in units of the cell vectors:
Te1 0.0000 0.0000 0.5000  4 Dy 3.11
Te2 0.6331 0.6331 0.1344  1 Te 2.83
Te3 0.3669 0.3669 0.8656  1 Te 2.83
S1 0.7883 0.2117 0.0000  4 Dy 2.68-2.76
S2 0.7169 0.2831 0.5000  4 Dy 2.74
S3 0.2117 0.7883 0.0000  4 Dy 2.68-2.76
S4 0.2831 0.7169 0.5000  4 Dy 2.74
Dy1 0.5787 0.9012 0.7560  4 S 2.68-2.76
Dy2 0.4213 0.0988 0.2440  4 S 2.68-2.76
Dy3 0.0988 0.4213 0.2440  4 S 2.68-2.76
Dy4 0.9012 0.5787 0.7560  4 S 2.68-2.76

***

3.
Material: DyTlS2
Method: DFT, PBE
State: relaxed

Results
Calculated volume (Å³/cell): 106.1
Energy of formation (eV/atom): -1.74
Final energy (eV/atom): -5.297

Unit cell a=4.0339 b=4.0339 c=7.8837 alpha=75.18 beta=75.18 gamma=60.00
With the nearest neighbours (Å) after each atom.
Sites, in units of the cell vectors:
S1 0.2675 0.2675 0.1976  3 Dy 2.76
S2 0.7325 0.7325 0.8024  3 Dy 2.76
Dy1 0.0000 0.0000 0.0000  6 S 2.76
Tl1 0.5000 0.5000 0.5000  6 S 3.26

***

4.
Material: Dy2ZnS4
Method: DFT, PBE
State: relaxed

Results
Calculated volume (Å³/cell): 681.1
Energy of formation (eV/atom): -1.98
Final energy (eV/atom): -5.556

Unit cell a=6.3390 b=7.9221 c=13.5633 alpha=90.00 beta=90.00 gamma=90.00
With the nearest neighbours (Å) after each atom.
Sites, in units of the cell vectors:
S1 0.2439 0.5148 0.1684  1 Zn 2.38
S2 0.7569 0.2500 0.5691  1 Zn 2.40
S3 0.2750 0.2500 0.4096  1 Zn 2.31
S4 0.2250 0.2500 0.9096  1 Zn 2.31
S5 0.2431 0.7500 0.4309  1 Zn 2.40
S6 0.7561 0.4852 0.8316  1 Zn 2.38
S7 0.7439 0.0148 0.3316  1 Zn 2.38
S8 0.2561 0.5148 0.6684  1 Zn 2.38
S9 0.2439 0.9852 0.1684  1 Zn 2.38
S10 0.7561 0.0148 0.8316  1 Zn 2.38
S11 0.2561 0.9852 0.6684  1 Zn 2.38
S12 0.7250 0.7500 0.5904  1 Zn 2.31
S13 0.2569 0.7500 0.9309  1 Zn 2.40
S14 0.7439 0.4852 0.3316  1 Zn 2.38
S15 0.7431 0.2500 0.0691  1 Zn 2.40
S16 0.7750 0.7500 0.0904  1 Zn 2.31
Dy1 0.5000 0.5000 0.5000  6 S 2.73-2.76
Dy2 0.5000 0.0000 0.5000  6 S 2.73-2.76
Dy3 0.4951 0.2500 0.2337  6 S 2.73-2.78
Dy4 0.5049 0.7500 0.7663  6 S 2.73-2.78
Dy5 0.0049 0.2500 0.7337  6 S 2.73-2.78
Dy6 0.0000 0.0000 0.0000  6 S 2.73-2.76
Dy7 0.0000 0.5000 0.0000  6 S 2.73-2.76
Dy8 0.9951 0.7500 0.2663  6 S 2.73-2.78
Zn1 0.4109 0.7500 0.0924  4 S 2.31-2.40
Zn2 0.5891 0.2500 0.9076  4 S 2.31-2.40
Zn3 0.0891 0.7500 0.5924  4 S 2.31-2.40
Zn4 0.9109 0.2500 0.4076  4 S 2.31-2.40

***

5.
Material: DySb2
Method: DFT, PBE
State: relaxed

Results
Calculated volume (Å³/cell): 85.3
Energy of formation (eV/atom): -0.33
Final energy (eV/atom): -4.490

Unit cell a=3.6317 b=3.6317 c=7.5464 alpha=90.00 beta=90.00 gamma=121.01
With the nearest neighbours (Å) after each atom.
Sites, in units of the cell vectors:
Sb1 0.0000 0.5000 0.3257  2 Dy 3.06, 2 Sb 3.18
Sb2 0.5000 0.0000 0.6743  2 Dy 3.06, 2 Sb 3.18
Dy1 0.0000 0.0000 0.0000  4 Sb 3.06

***

6.
Material: Dy5Sb3
Method: DFT, PBE
State: relaxed

Results
Calculated volume (Å³/cell): 441.4
Energy of formation (eV/atom): -0.99
Final energy (eV/atom): -5.346

Unit cell a=6.2599 b=9.0227 c=9.0236 alpha=120.00 beta=90.00 gamma=90.00
With the nearest neighbours (Å) after each atom.
Sites, in units of the cell vectors:
Dy1 0.0000 0.6667 0.3333  2 Dy 3.13, 6 Sb 3.20
Dy2 0.7500 0.7538 0.7538  5 Sb 3.07-3.38
Dy3 0.7500 0.2462 0.0000  5 Sb 3.07-3.38
Dy4 0.7500 0.0000 0.2462  5 Sb 3.07-3.38
Dy5 0.5000 0.3333 0.6667  2 Dy 3.13, 6 Sb 3.20
Dy6 0.0000 0.3333 0.6667  2 Dy 3.13, 6 Sb 3.20
Dy7 0.5000 0.6667 0.3333  2 Dy 3.13, 6 Sb 3.20
Dy8 0.2500 0.2462 0.2462  5 Sb 3.07-3.38
Dy9 0.2500 0.7538 0.0000  5 Sb 3.07-3.38
Dy10 0.2500 0.0000 0.7538  5 Sb 3.07-3.38
Sb1 0.2500 0.3879 0.0000  9 Dy 3.07-3.38
Sb2 0.7500 0.0000 0.6121  9 Dy 3.07-3.38
Sb3 0.2500 0.0000 0.3879  9 Dy 3.07-3.38
Sb4 0.2500 0.6121 0.6121  9 Dy 3.07-3.38
Sb5 0.7500 0.6121 0.0000  9 Dy 3.07-3.38
Sb6 0.7500 0.3879 0.3879  9 Dy 3.07-3.38